# YIO

An optimized crystal structure of YIO (PBE, Materials Project).

abc: 3.953 3.953 9.590
angles: 90.00 90.00 90.00
Element x y z (fractional)
Y  0.500  0.000  0.886
Y  0.000  0.500  0.114
I  0.000  0.500  0.684
I  0.500  0.000  0.316
O  0.000  0.000  0.000
O  0.500  0.500  0.000

E ... -7.02 eV/atom
E (MP2020) ... -43.5 eV/cell
Energy of formation ... -2.94 eV per atom